No. 1
VASP calculation (PBE) on an optimized crystal structure of Dy3Rh.

Geometry as extended XYZ:
```
16
Lattice="7.1408 0.0000 0.0000 0.0000 9.5329 0.0000 0.0000 0.0000 6.2553" Properties=species:S:1:pos:R:3 pbc="T T T"
Dy 0.2230 2.3832 0.8353
Dy 1.2696 0.5991 4.1879
Dy 1.2696 4.1673 4.1879
Dy 2.3008 5.3656 1.0602
Dy 2.3008 8.9337 1.0602
Dy 3.3474 7.1496 3.9630
Dy 3.7934 2.3832 2.2923
Dy 4.8400 0.5991 5.1951
Dy 4.8400 4.1673 5.1951
Dy 5.8713 5.3656 2.0675
Dy 5.8713 8.9337 2.0675
Dy 6.9178 7.1496 5.4200
Rh 0.8397 7.1496 2.7460
Rh 2.7307 2.3832 5.8737
Rh 4.4101 7.1496 0.3816
Rh 6.3012 2.3832 3.5093
```

E_tot: -5.82 eV/atom
Total magnetization: 0.0 μB/f.u.
Space group: Pnma, No. 62
Energy of formation from the pure elements: -0.521 eV/atom

=====

No. 2
VASP calculation (PBE) on an optimized crystal structure of DyRh2.

Geometry as extended XYZ:
```
6
Lattice="0.0000 3.7792 3.7792 3.7792 0.0000 3.7792 3.7792 3.7792 0.0000" Properties=species:S:1:pos:R:3 pbc="T T T"
Dy 0.9448 0.9448 0.9448
Dy 6.6136 6.6136 6.6136
Rh 3.7792 1.8896 1.8896
Rh 1.8896 3.7792 1.8896
Rh 1.8896 1.8896 3.7792
Rh 3.7792 3.7792 3.7792
```

E_tot: -7.19 eV/atom
Space group: Fd-3m, No. 227
Energy of formation from the pure elements: -0.745 eV/atom

=====

No. 3
VASP calculation (PBE) on an optimized crystal structure of Dy2RuRh.

Geometry as extended XYZ:
```
4
Lattice="0.0000 3.4061 3.4061 3.4061 0.0000 3.4061 3.4061 3.4061 0.0000" Properties=species:S:1:pos:R:3 pbc="T T T"
Dy 1.7031 1.7031 1.7031
Dy 5.1092 5.1092 5.1092
Ru 0.0000 0.0000 0.0000
Rh 3.4061 3.4061 3.4061
```

E_tot: -7.09 eV/atom
Space group: Fm-3m, No. 225
Energy of formation from the pure elements: -0.623 eV/atom

=====

No. 4
VASP calculation (PBE) on an optimized crystal structure of DySi3Rh5.

Geometry as extended XYZ:
```
54
Lattice="15.6516 0.0000 0.0000 -7.8258 13.5546 0.0000 0.0000 0.0000 3.8820" Properties=species:S:1:pos:R:3 pbc="T T T"
Dy -3.9585 9.5748 0.9705
Dy 1.5130 5.3391 0.9705
Dy 5.3803 1.3593 2.9115
Dy 2.4455 12.1954 0.9705
Dy 6.3128 8.2156 2.9115
Dy 11.7843 3.9798 2.9115
Si -2.4179 5.8658 0.9705
Si -4.9284 11.7891 2.9115
Si 0.0803 3.3919 2.9115
Si -1.5794 9.2369 2.9115
Si 2.9776 1.6264 0.9705
Si 0.6161 7.5684 2.9115
Si -1.5369 12.7157 0.9705
Si 3.8710 5.0268 2.9115
Si 0.9633 10.3040 2.9115
Si 6.8625 3.2506 0.9705
Si 3.9548 8.5278 0.9705
Si 9.3627 0.8390 2.9115
Si 7.2097 5.9862 0.9705
Si 4.8481 11.9282 2.9115
Si 9.4052 4.3178 0.9705
Si 7.7455 10.1627 0.9705
Si 12.7542 1.7655 0.9705
Si 10.2437 7.6888 2.9115
Rh -6.4745 12.0148 0.9705
Rh -1.4460 3.6778 0.9705
Rh -3.0412 7.3040 2.9115
Rh 0.6580 1.9402 0.9705
Rh 2.0092 0.4003 2.9115
Rh -0.8449 5.6174 2.9115
Rh -0.9745 7.7433 0.9705
Rh -3.9177 12.9681 0.9705
Rh -2.5386 11.4776 2.9115
Rh 2.4620 3.0912 2.9115
Rh -0.6326 10.5270 0.9705
Rh 4.4423 3.5404 0.9705
Rh 1.6071 8.8390 0.9705
Rh 3.0209 7.2689 2.9115
Rh 0.0203 12.5364 2.9115
Rh 7.8055 1.0183 0.9705
Rh 4.8049 6.2857 0.9705
Rh 6.2186 4.7156 2.9115
Rh 3.3834 10.0143 2.9115
Rh 8.4584 3.0277 2.9115
Rh 5.3637 10.4634 0.9705
Rh 10.3643 2.0770 0.9705
Rh 11.7435 0.5866 2.9115
Rh 8.8003 5.8113 2.9115
Rh 8.6707 7.9373 0.9705
Rh 5.8166 13.1544 0.9705
Rh 7.1678 11.6145 2.9115
Rh 10.8669 6.2506 0.9705
Rh 9.2718 9.8769 2.9115
Rh 14.3003 1.5399 2.9115
```

E_tot: -7.37 eV/atom
Total magnetization: 0.0 μB/f.u.
Space group: P6_3/m, No. 176
Energy of formation from the pure elements: -0.962 eV/atom

=====

Question: Number 2 is which compound?
Answer: DyRh2

=====

Question: E_tot of number 4 (DySi3Rh5)?
Answer: -7.37 eV/atom

=====

Question: E_tot of number 1 (Dy3Rh)?
Answer: -5.82 eV/atom